1.
Material: Na6LaTa3Si6O24
Method: DFT, PBE
State: relaxed

Raw total energy (eV/atom): -7.67
DFT formation energy (meV/atom): -3084
Calculated volume (Å³ per cell): 1104
Total moment (μB per formula unit): 0.0
Energy above the most stable polymorph in this dataset (eV/atom): 0.000

Lattice parameters (Å, degrees): 16.0156 9.1745 9.2043 90.21 125.31 90.07
Sites, in units of the cell vectors:
1 Na 0.2517 0.7505 0.0006
2 Na 0.7487 0.7507 0.4957
3 Na 0.7517 0.2505 0.0006
4 Na 0.2487 0.2507 0.4957
5 Na 0.5030 0.0861 0.7514
6 Na 0.5034 0.9016 0.2432
7 Na 0.0030 0.5861 0.7514
8 Na 0.0034 0.4016 0.2432
9 Na 0.8098 0.9202 0.2082
10 Na 0.1826 0.0751 0.7907
11 Na 0.3098 0.4202 0.2082
12 Na 0.6826 0.5751 0.7907
13 La 0.0986 0.2371 0.0597
14 La 0.5986 0.7371 0.0597
15 Ta 0.1049 0.7483 0.5586
16 Ta 0.8963 0.7550 0.9322
17 Ta 0.8937 0.2495 0.4393
18 Ta 0.6049 0.2483 0.5586
19 Ta 0.3963 0.2550 0.9322
20 Ta 0.3937 0.7495 0.4393
21 Si 0.9951 0.9458 0.7367
22 Si 0.9961 0.0399 0.2604
23 Si 0.4951 0.4458 0.7367
24 Si 0.4961 0.5399 0.2604
25 Si 0.3478 0.9022 0.7523
26 Si 0.6506 0.8988 0.7453
27 Si 0.6482 0.1214 0.2491
28 Si 0.3610 0.0963 0.2526
29 Si 0.8478 0.4022 0.7523
30 Si 0.1506 0.3988 0.7453
31 Si 0.1482 0.6214 0.2491
32 Si 0.8610 0.5963 0.2526
33 O 0.1564 0.5740 0.7173
34 O 0.8489 0.5835 0.7548
35 O 0.8582 0.4165 0.2639
36 O 0.1591 0.4464 0.2631
37 O 0.6564 0.0740 0.7173
38 O 0.3489 0.0835 0.7548
39 O 0.3582 0.9165 0.2639
40 O 0.6591 0.9464 0.2631
41 O 0.4288 0.5642 0.5705
42 O 0.5850 0.5338 0.9084
43 O 0.5470 0.4276 0.4264
44 O 0.4331 0.4296 0.0808
45 O 0.9288 0.0642 0.5705
46 O 0.0850 0.0338 0.9084
47 O 0.0470 0.9276 0.4264
48 O 0.9331 0.9296 0.0808
49 O 0.2403 0.8501 0.7216
50 O 0.7451 0.8106 0.7612
51 O 0.7462 0.1956 0.2632
52 O 0.2801 0.1845 0.2686
53 O 0.7403 0.3501 0.7216
54 O 0.2451 0.3106 0.7612
55 O 0.2462 0.6956 0.2632
56 O 0.7801 0.6845 0.2686
57 O 0.3652 0.8535 0.5943
58 O 0.6574 0.8872 0.9269
59 O 0.6464 0.1802 0.4143
60 O 0.3553 0.1400 0.0696
61 O 0.8652 0.3535 0.5943
62 O 0.1574 0.3872 0.9269
63 O 0.1464 0.6802 0.4143
64 O 0.8553 0.6400 0.0696
65 O 0.4407 0.8438 0.9433
66 O 0.5396 0.8222 0.5794
67 O 0.5367 0.1756 0.0659
68 O 0.4761 0.1421 0.4188
69 O 0.9407 0.3438 0.9433
70 O 0.0396 0.3222 0.5794
71 O 0.0367 0.6756 0.0659
72 O 0.9761 0.6421 0.4188
73 O 0.0596 0.8223 0.7092
74 O 0.9162 0.8532 0.7616
75 O 0.9078 0.1346 0.2607
76 O 0.0796 0.1505 0.2798
77 O 0.5596 0.3223 0.7092
78 O 0.4162 0.3532 0.7616
79 O 0.4078 0.6346 0.2607
80 O 0.5796 0.6505 0.2798

2.
Material: Na6LaTa3Si6O24
Method: DFT, PBE
State: relaxed

Raw total energy (eV/atom): -7.66
DFT formation energy (meV/atom): -3077
Calculated volume (Å³ per cell): 1666
Total moment (μB per formula unit): 0.0
Energy above the most stable polymorph in this dataset (eV/atom): 0.007
Crystal system: triclinic
Space group: P1

Lattice parameters (Å, degrees): 9.2195 9.2199 22.6100 89.97 89.95 60.09
Sites, in units of the cell vectors:
1 Na 0.0000 0.0000 0.0000
2 Na 0.0000 0.0004 0.4903
3 Na 0.0431 0.6563 0.9096
4 Na 0.2986 0.0431 0.9100
5 Na 0.3207 0.7035 0.0801
6 Na 0.3225 0.3428 0.3271
7 Na 0.3227 0.9649 0.5764
8 Na 0.3416 0.3320 0.8223
9 Na 0.3603 0.9928 0.2443
10 Na 0.6444 0.3600 0.2444
11 Na 0.6533 0.6797 0.6596
12 Na 0.6584 0.2991 0.9100
13 Na 0.6808 0.6662 0.1626
14 Na 0.7028 0.9769 0.0800
15 Na 0.7139 0.3233 0.5759
16 Na 0.9639 0.7101 0.5765
17 Na 0.9773 0.3177 0.0799
18 Na 0.9970 0.3610 0.7397
19 La 0.0009 0.9957 0.6452
20 La 0.3333 0.3326 0.9742
21 La 0.9982 0.9966 0.1584
22 Ta 0.0010 0.9982 0.3457
23 Ta 0.3308 0.3355 0.1784
24 Ta 0.3336 0.3320 0.4663
25 Ta 0.3367 0.3331 0.6792
26 Ta 0.6636 0.6696 0.8039
27 Ta 0.6663 0.6661 0.0131
28 Ta 0.6673 0.6657 0.5104
29 Ta 0.6697 0.6662 0.3119
30 Ta 0.9994 0.9986 0.8411
31 Si 0.0026 0.6935 0.7408
32 Si 0.0292 0.6317 0.0737
33 Si 0.0440 0.3431 0.5724
34 Si 0.3050 0.0008 0.7402
35 Si 0.3066 0.6940 0.2440
36 Si 0.3384 0.0277 0.0750
37 Si 0.3439 0.6114 0.5711
38 Si 0.3699 0.9578 0.4096
39 Si 0.3718 0.6805 0.9066
40 Si 0.6111 0.0438 0.5717
41 Si 0.6342 0.3368 0.0746
42 Si 0.6710 0.3697 0.4093
43 Si 0.6822 0.9461 0.9067
44 Si 0.6946 0.3028 0.7414
45 Si 0.6948 0.9968 0.2428
46 Si 0.9470 0.3711 0.9059
47 Si 0.9593 0.6705 0.4102
48 Si 0.9981 0.3075 0.2434
49 O 0.0232 0.1791 0.5712
50 O 0.0229 0.8072 0.7954
51 O 0.0306 0.1606 0.2930
52 O 0.1231 0.5725 0.0108
53 O 0.1318 0.3491 0.9025
54 O 0.1356 0.3633 0.6332
55 O 0.1449 0.5039 0.4146
56 O 0.1466 0.4958 0.1277
57 O 0.1625 0.3309 0.5169
58 O 0.1650 0.0268 0.7943
59 O 0.1661 0.8105 0.2944
60 O 0.1744 0.5100 0.7378
61 O 0.1774 0.3064 0.2362
62 O 0.1799 0.7954 0.5709
63 O 0.1834 0.9956 0.0829
64 O 0.1849 0.9746 0.3998
65 O 0.1887 0.8543 0.9004
66 O 0.2520 0.9588 0.6778
67 O 0.2680 0.7921 0.1818
68 O 0.3005 0.1812 0.7379
69 O 0.3034 0.1246 0.0126
70 O 0.3200 0.5090 0.2363
71 O 0.3318 0.5073 0.5152
72 O 0.3492 0.1447 0.4148
73 O 0.3512 0.5173 0.9027
74 O 0.3587 0.1395 0.1305
75 O 0.3621 0.4947 0.6304
76 O 0.4670 0.6983 0.9675
77 O 0.4695 0.8354 0.4675
78 O 0.4893 0.8594 0.3534
79 O 0.4918 0.8461 0.7544
80 O 0.4935 0.1413 0.6307
81 O 0.4928 0.6702 0.8534
82 O 0.4955 0.6611 0.2586
83 O 0.5025 0.3564 0.1302
84 O 0.5048 0.3489 0.4147
85 O 0.5081 0.1602 0.5156
86 O 0.5110 0.1750 0.2381
87 O 0.5156 0.3077 0.7360
88 O 0.5179 0.6238 0.5685
89 O 0.5190 0.1295 0.9026
90 O 0.5221 0.8508 0.0714
91 O 0.5716 0.3026 0.0123
92 O 0.6238 0.8571 0.5686
93 O 0.6269 0.5208 0.0712
94 O 0.6472 0.4914 0.3536
95 O 0.6567 0.8445 0.2575
96 O 0.6682 0.4885 0.7553
97 O 0.6760 0.8342 0.8532
98 O 0.6954 0.4682 0.4674
99 O 0.6982 0.8339 0.9677
100 O 0.7769 0.9550 0.1780
101 O 0.7949 0.0251 0.5717
102 O 0.8039 0.2522 0.6815
103 O 0.8064 0.1683 0.7964
104 O 0.8105 0.0287 0.2918
105 O 0.8213 0.1826 0.0822
106 O 0.8322 0.4694 0.9662
107 O 0.8385 0.6952 0.4689
108 O 0.8392 0.1858 0.3986
109 O 0.8389 0.4911 0.2594
110 O 0.8422 0.4857 0.8506
111 O 0.8492 0.6554 0.7539
112 O 0.8527 0.6242 0.0714
113 O 0.8537 0.6497 0.3564
114 O 0.8559 0.9564 0.9015
115 O 0.8569 0.5167 0.5684
116 O 0.9411 0.2666 0.1810
117 O 0.9579 0.1864 0.9013
118 O 0.9576 0.7880 0.6782
119 O 0.9738 0.8391 0.3988
120 O 0.9977 0.8180 0.0825

3.
Material: NaLaSn2O6
Method: DFT, PBE
State: relaxed

Raw total energy (eV/atom): -6.39
DFT formation energy (meV/atom): -2408
Calculated volume (Å³ per cell): 135
Total moment (μB per formula unit): 0.0
Crystal system: cubic
Space group: Fm-3m

Lattice parameters (Å, degrees): 5.7605 5.7605 5.7605 60.00 60.00 60.00
Sites, in units of the cell vectors:
1 Na 0.0000 0.0000 0.0000
2 La 0.5000 0.5000 0.5000
3 Sn 0.2500 0.2500 0.2500
4 Sn 0.7500 0.7500 0.7500
5 O 0.0000 0.0000 0.5000
6 O 0.0000 0.5000 0.0000
7 O 0.0000 0.5000 0.5000
8 O 0.5000 0.0000 0.0000
9 O 0.5000 0.0000 0.5000
10 O 0.5000 0.5000 0.0000